Computed, not measured: a relaxed Li4Mn2Fe3Sn3O16 crystal at the PBE+U level of DFT.

Computed properties:
Calculated formation energy ... -1.9207 eV per atom
MP2020-corrected energy ... -7.0123 eV/atom
SG ... Cm (8)

a = 6.101 Å, b = 6.101 Å, c = 9.681 Å
α = 88.98°, β = 88.98°, γ = 60.65°
Fractional positions:
Sn: 0.171 0.171 0.288
Sn: 0.342 0.843 0.790
Sn: 0.843 0.342 0.790
O: 0.973 0.529 0.661
O: 0.675 0.675 0.903
O: 0.998 0.998 0.191
O: 0.673 0.166 0.905
O: 0.828 0.828 0.395
O: 0.484 0.050 0.150
O: 0.529 0.529 0.654
O: 0.166 0.673 0.905
O: 0.529 0.973 0.661
O: 0.318 0.839 0.399
O: 0.167 0.167 0.912
O: 0.050 0.484 0.150
O: 0.482 0.482 0.150
O: 0.339 0.339 0.395
O: 0.004 0.004 0.689
O: 0.839 0.318 0.399
Li: 0.986 0.986 0.502
Li: 0.675 0.675 0.107
Li: 0.340 0.340 0.601
Li: 0.985 0.985 0.010
Fe: 0.668 0.169 0.287
Fe: 0.169 0.668 0.287
Fe: 0.834 0.834 0.781
Mn: 0.672 0.672 0.508
Mn: 0.344 0.344 0.020